(1)
20
Lattice="5.659 0.000 0.000 0.000 7.373 0.000 0.000 0.000 5.165" Properties=species:S:1:pos:R:3 comment="ErNiO3 | the Materials Project | PBE with a Hubbard U | optimized geometry" sg=Pnma pbc="T T T"
Er 0.476 1.843 0.122
Er 2.354 5.530 2.705
Er 3.306 1.843 2.460
Er 5.183 5.530 5.043
Ni 0.000 0.000 2.582
Ni 0.000 3.687 2.582
Ni 2.830 0.000 0.000
Ni 2.830 3.687 0.000
O 0.195 5.530 2.004
O 1.053 4.084 4.155
O 1.053 6.976 4.155
O 1.777 0.398 1.572
O 1.777 3.289 1.572
O 2.634 1.843 4.587
O 3.025 5.530 0.578
O 3.883 4.084 3.593
O 3.883 6.976 3.593
O 4.606 0.398 1.010
O 4.606 3.289 1.010
O 5.464 1.843 3.161

=====

(2)
24
Lattice="5.437 -5.300 0.000 5.437 5.300 0.000 -4.820 0.000 5.713" Properties=species:S:1:pos:R:3 comment="ErTlW2O8 | the Materials Project | PBE with a Hubbard U | optimized geometry" sg=C2/c pbc="T T T"
Er 1.822 2.925 4.285
Er 4.232 -2.925 1.428
Tl 4.232 3.152 1.428
Tl 1.822 -3.152 4.285
W -0.446 0.055 4.452
W 1.964 -0.055 1.596
W 4.091 0.055 4.117
W 6.500 -0.055 1.260
O 0.479 0.901 1.087
O -0.607 1.663 3.536
O -1.931 -0.901 3.943
O 3.105 0.743 0.323
O 2.634 1.164 3.058
O 1.803 -1.663 0.679
O 0.696 -0.743 3.180
O 1.010 1.164 5.511
O 5.044 -1.164 0.201
O 5.359 0.743 2.533
O 4.251 1.663 5.034
O 3.420 -1.164 2.655
O 2.949 -0.743 5.389
O 7.985 0.901 1.769
O 6.661 -1.663 2.177
O 5.575 -0.901 4.626

=====

(3)
22
Lattice="0.000 5.030 5.030 5.030 0.000 5.030 5.030 5.030 0.000" Properties=species:S:1:pos:R:3 comment="Er2V2O7 | the Materials Project | PBE with a Hubbard U | optimized geometry" sg=Fd-3m pbc="T T T"
Er 0.000 0.000 0.000
Er 2.515 2.515 0.000
Er 2.515 0.000 2.515
Er 0.000 2.515 2.515
V 5.030 2.515 2.515
V 2.515 5.030 2.515
V 2.515 2.515 5.030
V 5.030 5.030 5.030
O 1.258 1.258 1.258
O 3.773 3.773 1.683
O 3.773 1.683 3.773
O 5.863 3.773 3.773
O 6.288 6.288 4.198
O 6.288 4.198 6.288
O 8.378 6.288 6.288
O 1.683 3.773 3.773
O 3.773 5.863 3.773
O 3.773 3.773 5.863
O 4.198 6.288 6.288
O 6.288 8.378 6.288
O 6.288 6.288 8.378
O 8.803 8.803 8.803

=====

(4)
12
Lattice="-3.578 3.578 3.160 3.578 -3.578 3.160 3.578 3.578 -3.160" Properties=species:S:1:pos:R:3 comment="ErVO4 | the Materials Project | PBE with a Hubbard U | optimized geometry" sg=I4_1/amd pbc="T T T"
Er 3.578 1.789 0.790
Er 0.000 1.789 2.370
V 3.578 -1.789 2.370
V 0.000 5.367 0.790
O 3.578 -0.458 1.250
O 3.578 3.120 -1.250
O 1.331 1.789 0.330
O 2.247 -1.789 3.490
O 1.331 5.367 -0.330
O 2.247 1.789 2.831
O 0.000 0.458 4.411
O 0.000 4.036 1.910

=====

In the order shown, the computed ΔH_f (0 K) values come out to -2.52, -2.51, -3.25, -3.21 eV/atom.